A plane-wave DFT calculation with PBE-GGA was carried out for Er2PdRh after structural relaxation. Values from VASP.

```
&SYSTEM
  ibrav = 0, nat = 16, ntyp = 3
/
ATOMIC_SPECIES
Er 167.26 Er.upf
Pd 106.42 Pd.upf
Rh 102.91 Rh.upf
CELL_PARAMETERS angstrom
6.885 0.000 0.000
0.000 6.885 0.000
0.000 0.000 6.885
ATOMIC_POSITIONS crystal
Er 0.250 0.250 0.250
Er 0.250 0.250 0.750
Er 0.250 0.750 0.250
Er 0.250 0.750 0.750
Er 0.750 0.250 0.250
Er 0.750 0.250 0.750
Er 0.750 0.750 0.250
Er 0.750 0.750 0.750
Pd 0.000 0.000 0.000
Pd 0.000 0.500 0.500
Pd 0.500 0.000 0.500
Pd 0.500 0.500 0.000
Rh 0.000 0.000 0.500
Rh 0.000 0.500 0.000
Rh 0.500 0.000 0.000
Rh 0.500 0.500 0.500
```

Output
calculated volume = 326.3 Å³/cell
calculated total energy = -6.3499 eV per atom
formation enthalpy at 0 K = -930 meV per atom
space group = No. 225

=====

A plane-wave DFT calculation with PBE-GGA was carried out for Ba2TeP2O9 after structural relaxation. Values from VASP.

```
&SYSTEM
  ibrav = 0, nat = 28, ntyp = 4
/
ATOMIC_SPECIES
Ba 137.33 Ba.upf
Te 127.60 Te.upf
P 30.97 P.upf
O 16.00 O.upf
CELL_PARAMETERS angstrom
7.064 0.000 0.000
1.885 7.275 0.000
1.567 1.720 8.735
ATOMIC_POSITIONS crystal
Ba 0.103 0.383 0.243
Ba 0.369 0.805 0.417
Ba 0.631 0.195 0.583
Ba 0.897 0.617 0.757
Te 0.356 0.887 0.954
Te 0.644 0.113 0.046
P 0.135 0.121 0.648
P 0.376 0.521 0.816
P 0.624 0.479 0.184
P 0.865 0.879 0.352
O 0.039 0.709 0.347
O 0.065 0.936 0.676
O 0.199 0.530 0.939
O 0.271 0.110 0.779
O 0.277 0.148 0.497
O 0.329 0.523 0.657
O 0.379 0.071 0.102
O 0.449 0.651 0.144
O 0.468 0.701 0.802
O 0.532 0.299 0.198
O 0.551 0.349 0.856
O 0.621 0.929 0.898
O 0.671 0.477 0.343
O 0.723 0.852 0.503
O 0.729 0.890 0.221
O 0.801 0.470 0.061
O 0.935 0.064 0.324
O 0.961 0.291 0.653
```

Output
calculated volume = 448.9 Å³/cell
calculated total energy = -6.8660 eV per atom
size of the total moment = 0.0 μB/f.u.
formation enthalpy at 0 K = -2855 meV per atom
space group = No. 2
MP2020-corrected energy = -204.6 eV for the cell shown